A geometry-optimized CsScCl3 structure. Source: the Materials Project, functional meta-GGA r2SCAN.

Properties
Crystal system = hexagonal
Calculated formation energy = -2.209 eV per atom

abc: 7.5248 7.5248 5.9693
angles: 90.00 90.00 120.00
With the nearest neighbours (Å) after each atom.
Space group P6_3/mmc (No. 194)
Inequivalent atoms, fractional coordinates:
Cs (0.3333, 0.6667, 0.2500) [2 per cell]  12 Cl 3.72-3.76
Sc (0.0000, 0.0000, 0.0000) [2 per cell]  6 Cl 2.60
Cl (0.1629, 0.3258, 0.7500) [6 per cell]  2 Sc 2.60


A geometry-optimized Cs3Sc2Cl9 structure. Source: the Materials Project, functional meta-GGA r2SCAN.

Properties
Crystal system = trigonal
Calculated formation energy = -2.378 eV per atom

abc: 12.7947 12.7947 18.2115
angles: 90.00 90.00 120.00
With the nearest neighbours (Å) after each atom.
Space group R-3c (No. 167, hexagonal axes)
Inequivalent atoms, fractional coordinates:
Cs (0.0000, 0.3382, 0.2500) [18 per cell]  12 Cl 3.65-3.81
Sc (0.0000, 0.0000, 0.1533) [12 per cell]  6 Cl 2.41-2.61
Cl (0.0000, 0.1510, 0.7500) [18 per cell]  2 Sc 2.61
Cl (0.0023, 0.1666, 0.4096) [36 per cell]  1 Sc 2.41


A geometry-optimized Cs3SmCl6 structure. Source: the Materials Project, functional meta-GGA r2SCAN.

Properties
Crystal system = cubic
Calculated formation energy = -2.330 eV per atom

abc: 11.8746 11.8746 11.8746
angles: 90.00 90.00 90.00
With the nearest neighbours (Å) after each atom.
Space group Fm-3m (No. 225)
Inequivalent atoms, fractional coordinates:
Cs (0.0000, 0.0000, 0.0000) [4 per cell]  6 Cl 3.25
Cs (0.2500, 0.2500, 0.2500) [8 per cell]  12 Cl 4.21
Sm (0.0000, 0.0000, 0.5000) [4 per cell]  6 Cl 2.69
Cl (0.0000, 0.0000, 0.2738) [24 per cell]  1 Sm 2.69


A geometry-optimized CsSn2Cl5 structure. Source: the Materials Project, functional meta-GGA r2SCAN.

Properties
Crystal system = tetragonal
Calculated formation energy = -1.391 eV per atom

abc: 8.1862 8.1862 15.2433
angles: 90.00 90.00 90.00
With the nearest neighbours (Å) after each atom.
Space group I4/mcm (No. 140)
Inequivalent atoms, fractional coordinates:
Cs (0.0000, 0.0000, 0.2500) [4 per cell]  10 Cl 3.62-3.81
Sn (0.1828, 0.3172, 0.0000) [8 per cell]  2 Cl 2.56
Cl (0.0000, 0.0000, 0.0000) [4 per cell]  4 Sn 3.00
Cl (0.1659, 0.3341, 0.3771) [16 per cell]  1 Sn 2.56


A geometry-optimized CsSrCl3 structure. Source: the Materials Project, functional meta-GGA r2SCAN.

Properties
Crystal system = cubic
Calculated formation energy = -2.526 eV per atom

abc: 5.6728 5.6728 5.6728
angles: 90.00 90.00 90.00
With the nearest neighbours (Å) after each atom.
Space group Pm-3m (No. 221)
Inequivalent atoms, fractional coordinates:
Cs (0.0000, 0.0000, 0.0000) [1 per cell]  12 Cl 4.01
Sr (0.5000, 0.5000, 0.5000) [1 per cell]  6 Cl 2.84
Cl (0.0000, 0.5000, 0.5000) [3 per cell]  2 Sr 2.84


A geometry-optimized CsSrCl3 structure. Source: the Materials Project, functional meta-GGA r2SCAN.

Properties
Crystal system = tetragonal
Calculated formation energy = -2.538 eV per atom

abc: 7.8675 7.8675 5.7574
angles: 90.00 90.00 90.00
With the nearest neighbours (Å) after each atom.
Space group P4/mbm (No. 127)
Inequivalent atoms, fractional coordinates:
Cs (0.0000, 0.5000, 0.0000) [2 per cell]  8 Cl 3.56-3.93
Sr (0.0000, 0.0000, 0.5000) [2 per cell]  6 Cl 2.87-2.88
Cl (0.0000, 0.0000, 0.0000) [2 per cell]  2 Sr 2.88
Cl (0.1878, 0.3122, 0.5000) [4 per cell]  2 Sr 2.87


A geometry-optimized CsSrCl3 structure. Source: the Materials Project, functional meta-GGA r2SCAN.

Properties
Crystal system = trigonal
Calculated formation energy = -2.536 eV per atom

abc: 8.0451 8.0451 19.2682
angles: 90.00 90.00 120.00
With the nearest neighbours (Å) after each atom.
Space group R3c (No. 161, hexagonal axes)
Inequivalent atoms, fractional coordinates:
Cs (0.0000, 0.0000, 0.0000) [6 per cell]  6 Cl 3.56-3.89
Sr (0.0000, 0.0000, 0.2546) [6 per cell]  6 Cl 2.86
Cl (0.0024, 0.4435, 0.0061) [18 per cell]  2 Sr 2.86


A geometry-optimized CsSrCl3 structure. Source: the Materials Project, functional meta-GGA r2SCAN.

Properties
Crystal system = orthorhombic
Calculated formation energy = -2.541 eV per atom

abc: 8.0304 11.2683 7.8729
angles: 90.00 90.00 90.00
With the nearest neighbours (Å) after each atom.
Space group Pnma (No. 62)
Inequivalent atoms, fractional coordinates:
Cs (0.0471, 0.2500, 0.0146) [4 per cell]  8 Cl 3.52-3.91
Sr (0.0000, 0.0000, 0.5000) [4 per cell]  6 Cl 2.87-2.88
Cl (0.0134, 0.7500, 0.4306) [4 per cell]  2 Sr 2.87
Cl (0.2105, 0.5371, 0.7912) [8 per cell]  2 Sr 2.88


A geometry-optimized CsSrCl3 structure. Source: the Materials Project, functional meta-GGA r2SCAN.

Properties
Crystal system = monoclinic
Calculated formation energy = -2.525 eV per atom

abc: 8.0185 8.0335 5.6744
angles: 90.00 90.14 90.00
With the nearest neighbours (Å) after each atom.
Space group Cm (No. 8)
Inequivalent atoms, fractional coordinates:
Cs (0.0000, 0.0000, 0.0000) [2 per cell]  12 Cl 3.94-4.08
Sr (0.0019, 0.5000, 0.4914) [2 per cell]  6 Cl 2.84
Cl (0.0090, 0.5000, 0.9910) [2 per cell]  2 Sr 2.84
Cl (0.2500, 0.2479, 0.4869) [4 per cell]  2 Sr 2.84


A geometry-optimized CsTb2Cl7 structure. Source: the Materials Project, functional meta-GGA r2SCAN.

Properties
Crystal system = orthorhombic
Calculated formation energy = -2.541 eV per atom

abc: 13.5470 7.0065 12.7229
angles: 90.00 90.00 90.00
With the nearest neighbours (Å) after each atom.
Space group Pnma (No. 62)
Inequivalent atoms, fractional coordinates:
Cs (0.0409, 0.2500, 0.2000) [4 per cell]  10 Cl 3.57-3.72
Tb (0.2400, 0.2500, 0.5451) [4 per cell]  7 Cl 2.71-2.79
Tb (0.2491, 0.2500, 0.8490) [4 per cell]  7 Cl 2.70-2.75
Cl (0.1092, 0.7500, 0.1947) [4 per cell]  2 Tb 2.75-2.79
Cl (0.1251, 0.0089, 0.4306) [8 per cell]  2 Tb 2.70-2.72
Cl (0.1324, 0.0094, 0.9639) [8 per cell]  2 Tb 2.71-2.73
Cl (0.1793, 0.0086, 0.6982) [8 per cell]  2 Tb 2.71-2.73


A geometry-optimized Cs2TcCl6 structure. Source: the Materials Project, functional meta-GGA r2SCAN.

Properties
Crystal system = cubic
Calculated formation energy = -1.636 eV per atom

abc: 10.3649 10.3649 10.3649
angles: 90.00 90.00 90.00
With the nearest neighbours (Å) after each atom.
Space group Fm-3m (No. 225)
Inequivalent atoms, fractional coordinates:
Cs (0.2500, 0.2500, 0.2500) [8 per cell]  12 Cl 3.67
Tc (0.0000, 0.0000, 0.0000) [4 per cell]  6 Cl 2.37
Cl (0.0000, 0.0000, 0.2285) [24 per cell]  1 Tc 2.37


A geometry-optimized Cs2ThCl6 structure. Source: the Materials Project, functional meta-GGA r2SCAN.

Properties
Crystal system = trigonal
Calculated formation energy = -2.407 eV per atom

abc: 7.6418 7.6418 6.0780
angles: 90.00 90.00 120.00
With the nearest neighbours (Å) after each atom.
Space group P-3m1 (No. 164)
Inequivalent atoms, fractional coordinates:
Cs (0.3333, 0.6667, 0.2365) [2 per cell]  12 Cl 3.70-3.82
Th (0.0000, 0.0000, 0.5000) [1 per cell]  6 Cl 2.69
Cl (0.1700, 0.3400, 0.7421) [6 per cell]  1 Th 2.69